--- one ---
The following is a DFT calculation (PBE-GGA) of a relaxed Mg6CoB crystal.

a b c (Å): 4.494 6.235 10.053
angles (deg): 90.00 90.00 90.00
Fractional coordinates of all 16 atoms:
Mg (0.000, 0.251, 0.593)
Mg (0.000, 0.749, 0.593)
Mg (0.500, 0.247, 0.408)
Mg (0.500, 0.753, 0.408)
Mg (0.500, 0.000, 0.676)
Mg (0.500, 0.000, 0.173)
Mg (0.000, 0.751, 0.093)
Mg (0.000, 0.249, 0.093)
Mg (0.500, 0.747, 0.908)
Mg (0.500, 0.253, 0.908)
Mg (0.500, 0.500, 0.176)
Mg (0.500, 0.500, 0.673)
Co (0.000, 0.000, 0.838)
Co (0.000, 0.500, 0.338)
B (0.000, 0.000, 0.311)
B (0.000, 0.500, 0.811)

- Calculated volume: 17.61 Å³ per atom
- ρ: 2.5 Mg/m³

--- two ---
The following is a DFT calculation (PBE-GGA) of a relaxed Mg6CoB crystal.

a b c (Å): 3.179 9.384 10.159
angles (deg): 90.00 90.00 90.00
Fractional coordinates of all 16 atoms:
Mg (0.000, 0.669, 0.122)
Mg (0.000, 0.331, 0.122)
Mg (0.000, 0.500, 0.846)
Mg (0.500, 0.775, 0.875)
Mg (0.500, 0.225, 0.875)
Mg (0.500, 0.500, 0.582)
Mg (0.000, 0.169, 0.622)
Mg (0.000, 0.831, 0.622)
Mg (0.000, 0.000, 0.346)
Mg (0.500, 0.275, 0.375)
Mg (0.500, 0.725, 0.375)
Mg (0.500, 0.000, 0.082)
Co (0.000, 0.500, 0.339)
Co (0.000, 0.000, 0.839)
B (0.500, 0.500, 0.240)
B (0.500, 0.000, 0.740)

- Calculated volume: 18.94 Å³ per atom
- ρ: 2.4 Mg/m³

Most favorable structure: two. The second most favorable one is 36.3 kJ/mol of atoms above it.

--- one ---
The following is a DFT calculation (PBE-GGA) of a relaxed CrB4 crystal.

a b c (Å): 2.854 4.727 5.480
angles (deg): 90.00 90.00 90.00
Fractional coordinates of all 10 atoms:
Cr (0.500, 0.500, 0.500)
Cr (0.000, 0.000, 0.000)
B (0.500, 0.665, 0.866)
B (0.500, 0.335, 0.134)
B (0.000, 0.165, 0.634)
B (0.000, 0.835, 0.366)
B (0.500, 0.723, 0.178)
B (0.500, 0.277, 0.822)
B (0.000, 0.223, 0.322)
B (0.000, 0.777, 0.678)

- SG: Pnnm
- Calculated volume: 7.39 Å³ per atom
- ρ: 4.3 Mg/m³

--- two ---
The following is a DFT calculation (PBE-GGA) of a relaxed CrB4 crystal.

a b c (Å): 3.899 3.899 3.899
angles (deg): 137.08 104.96 90.54
Fractional coordinates of all 5 atoms:
Cr (0.000, 0.000, 0.000)
B (0.537, 0.342, 0.195)
B (0.147, 0.342, 0.805)
B (0.853, 0.658, 0.195)
B (0.463, 0.658, 0.805)

- SG: Immm
- Calculated volume: 7.44 Å³ per atom
- ρ: 4.3 Mg/m³

Most favorable structure: one. The second most favorable one is 0.6 kJ/mol of atoms above it.

--- one ---
The following is a DFT calculation (PBE-GGA) of a relaxed CrB4Mo crystal.

a b c (Å): 4.364 4.364 4.364
angles (deg): 139.61 106.58 87.31
Fractional coordinates of all 6 atoms:
Cr (0.000, 0.000, 0.000)
B (0.080, 0.746, 0.333)
B (0.587, 0.254, 0.333)
B (0.920, 0.254, 0.667)
B (0.413, 0.746, 0.667)
Mo (0.500, 0.500, 0.000)

- SG: Immm
- Calculated volume: 8.27 Å³ per atom
- ρ: 6.4 Mg/m³

--- two ---
The following is a DFT calculation (PBE-GGA) of a relaxed CrB4Mo crystal.

a b c (Å): 3.019 3.019 6.262
angles (deg): 90.00 90.00 120.00
Fractional coordinates of all 6 atoms:
Cr (0.000, 0.000, 0.000)
B (0.667, 0.333, 0.765)
B (0.667, 0.333, 0.235)
B (0.333, 0.667, 0.765)
B (0.333, 0.667, 0.235)
Mo (0.000, 0.000, 0.500)

- SG: P6/mmm
- Calculated volume: 8.24 Å³ per atom
- ρ: 6.4 Mg/m³

Most favorable structure: two. The second most favorable one is 4.4 kJ/mol of atoms above it.

--- one ---
The following is a DFT calculation (PBE-GGA) of a relaxed CsMg6B crystal.

a b c (Å): 8.494 8.494 3.488
angles (deg): 90.00 90.00 112.04
Fractional coordinates of all 8 atoms:
Cs (0.830, 0.170, 0.500)
Mg (0.299, 0.167, 0.500)
Mg (0.833, 0.701, 0.500)
Mg (0.255, 0.460, 0.000)
Mg (0.540, 0.745, 0.000)
Mg (0.585, 0.415, 0.000)
Mg (0.183, 0.817, 0.000)
B (0.476, 0.524, 0.500)

- SG: Amm2
- Calculated volume: 29.16 Å³ per atom
- ρ: 2.1 Mg/m³

--- two ---
The following is a DFT calculation (PBE-GGA) of a relaxed CsMg6B crystal.

a b c (Å): 3.240 8.736 14.763
angles (deg): 90.00 90.00 90.00
Fractional coordinates of all 16 atoms:
Cs (0.000, 0.000, 0.164)
Cs (0.000, 0.500, 0.664)
Mg (0.000, 0.801, 0.367)
Mg (0.000, 0.199, 0.367)
Mg (0.000, 0.000, 0.712)
Mg (0.500, 0.836, 0.538)
Mg (0.500, 0.164, 0.538)
Mg (0.500, 0.000, 0.913)
Mg (0.000, 0.301, 0.867)
Mg (0.000, 0.699, 0.867)
Mg (0.000, 0.500, 0.212)
Mg (0.500, 0.336, 0.038)
Mg (0.500, 0.664, 0.038)
Mg (0.500, 0.500, 0.413)
B (0.500, 0.000, 0.401)
B (0.500, 0.500, 0.901)

- Calculated volume: 26.11 Å³ per atom
- ρ: 2.3 Mg/m³

Most favorable structure: two. The second most favorable one is 5.2 kJ/mol of atoms above it.

--- one ---
The following is a DFT calculation (PBE-GGA) of a relaxed CsB5O8 crystal.

a b c (Å): 10.025 7.180 11.668
angles (deg): 63.15 90.00 90.00
Fractional coordinates of all 56 atoms:
Cs (0.993, 0.303, 0.777)
Cs (0.007, 0.697, 0.223)
Cs (0.493, 0.697, 0.723)
Cs (0.507, 0.303, 0.277)
B (0.749, 0.528, 0.488)
B (0.905, 0.270, 0.133)
B (0.095, 0.730, 0.867)
B (0.412, 0.131, 0.820)
B (0.595, 0.270, 0.633)
B (0.808, 0.852, 0.498)
B (0.724, 0.163, 0.029)
B (0.308, 0.148, 0.002)
B (0.405, 0.730, 0.367)
B (0.192, 0.148, 0.502)
B (0.912, 0.869, 0.680)
B (0.251, 0.472, 0.512)
B (0.588, 0.869, 0.180)
B (0.224, 0.837, 0.471)
B (0.692, 0.852, 0.998)
B (0.088, 0.131, 0.320)
B (0.776, 0.163, 0.529)
B (0.276, 0.837, 0.971)
B (0.751, 0.528, 0.988)
B (0.249, 0.472, 0.012)
O (0.227, 0.943, 0.553)
O (0.291, 0.265, 0.068)
O (0.144, 0.872, 0.903)
O (0.635, 0.750, 0.120)
O (0.618, 0.075, 0.130)
O (0.512, 0.761, 0.288)
O (0.273, 0.943, 0.053)
O (0.727, 0.057, 0.947)
O (0.801, 0.389, 0.451)
O (0.882, 0.075, 0.630)
O (0.349, 0.529, 0.418)
O (0.791, 0.735, 0.432)
O (0.488, 0.239, 0.712)
O (0.773, 0.057, 0.447)
O (0.012, 0.239, 0.212)
O (0.644, 0.128, 0.597)
O (0.651, 0.471, 0.582)
O (0.865, 0.750, 0.620)
O (0.988, 0.761, 0.788)
O (0.118, 0.925, 0.370)
O (0.709, 0.735, 0.932)
O (0.151, 0.529, 0.918)
O (0.356, 0.872, 0.403)
O (0.301, 0.611, 0.049)
O (0.856, 0.128, 0.097)
O (0.209, 0.265, 0.568)
O (0.135, 0.250, 0.380)
O (0.365, 0.250, 0.880)
O (0.199, 0.611, 0.549)
O (0.382, 0.925, 0.870)
O (0.849, 0.471, 0.082)
O (0.699, 0.389, 0.951)

- SG: P2_1/c
- Calculated volume: 13.38 Å³ per atom
- ρ: 2.8 Mg/m³

--- two ---
The following is a DFT calculation (PBE-GGA) of a relaxed CsB5O8 crystal.

a b c (Å): 8.127 12.305 15.171
angles (deg): 90.00 90.00 90.00
Fractional coordinates of all 112 atoms:
Cs (0.046, 0.213, 0.623)
Cs (0.546, 0.213, 0.877)
Cs (0.546, 0.287, 0.377)
Cs (0.454, 0.787, 0.123)
Cs (0.046, 0.287, 0.123)
Cs (0.954, 0.713, 0.877)
Cs (0.454, 0.713, 0.623)
Cs (0.954, 0.787, 0.377)
B (0.970, 0.731, 0.625)
B (0.513, 0.965, 0.337)
B (0.450, 0.906, 0.793)
B (0.950, 0.594, 0.207)
B (0.487, 0.465, 0.163)
B (0.619, 0.900, 0.922)
B (0.487, 0.035, 0.663)
B (0.119, 0.900, 0.578)
B (0.987, 0.465, 0.337)
B (0.677, 0.080, 0.547)
B (0.881, 0.100, 0.422)
B (0.470, 0.731, 0.875)
B (0.970, 0.769, 0.125)
B (0.013, 0.535, 0.663)
B (0.950, 0.906, 0.707)
B (0.550, 0.094, 0.207)
B (0.823, 0.920, 0.047)
B (0.987, 0.035, 0.837)
B (0.119, 0.600, 0.078)
B (0.530, 0.231, 0.625)
B (0.323, 0.920, 0.453)
B (0.050, 0.094, 0.293)
B (0.677, 0.420, 0.047)
B (0.823, 0.580, 0.547)
B (0.030, 0.231, 0.875)
B (0.381, 0.100, 0.078)
B (0.530, 0.269, 0.125)
B (0.050, 0.406, 0.793)
B (0.619, 0.600, 0.422)
B (0.013, 0.965, 0.163)
B (0.550, 0.406, 0.707)
B (0.030, 0.269, 0.375)
B (0.513, 0.535, 0.837)
B (0.323, 0.580, 0.953)
B (0.381, 0.400, 0.578)
B (0.881, 0.400, 0.922)
B (0.177, 0.080, 0.953)
B (0.177, 0.420, 0.453)
B (0.470, 0.769, 0.375)
B (0.450, 0.594, 0.293)
O (0.218, 0.543, 0.019)
O (0.947, 0.141, 0.826)
O (0.098, 0.499, 0.402)
O (0.947, 0.359, 0.326)
O (0.155, 0.312, 0.436)
O (0.845, 0.688, 0.564)
O (0.447, 0.141, 0.674)
O (0.953, 0.039, 0.355)
O (0.447, 0.359, 0.174)
O (0.345, 0.812, 0.436)
O (0.282, 0.043, 0.019)
O (0.417, 0.546, 0.214)
O (0.594, 0.791, 0.928)
O (0.083, 0.046, 0.214)
O (0.553, 0.641, 0.826)
O (0.094, 0.709, 0.072)
O (0.402, 0.999, 0.402)
O (0.594, 0.709, 0.428)
O (0.107, 0.303, 0.809)
O (0.053, 0.641, 0.674)
O (0.607, 0.303, 0.691)
O (0.053, 0.859, 0.174)
O (0.917, 0.546, 0.286)
O (0.902, 0.501, 0.598)
O (0.598, 0.001, 0.598)
O (0.393, 0.697, 0.309)
O (0.553, 0.859, 0.326)
O (0.345, 0.688, 0.936)
O (0.547, 0.539, 0.355)
O (0.845, 0.812, 0.064)
O (0.583, 0.454, 0.786)
O (0.047, 0.961, 0.645)
O (0.083, 0.454, 0.714)
O (0.906, 0.209, 0.428)
O (0.655, 0.188, 0.564)
O (0.406, 0.291, 0.572)
O (0.782, 0.457, 0.981)
O (0.906, 0.291, 0.928)
O (0.598, 0.499, 0.098)
O (0.782, 0.043, 0.481)
O (0.902, 0.999, 0.098)
O (0.453, 0.461, 0.645)
O (0.718, 0.957, 0.981)
O (0.406, 0.209, 0.072)
O (0.718, 0.543, 0.481)
O (0.094, 0.791, 0.572)
O (0.893, 0.697, 0.191)
O (0.417, 0.954, 0.714)
O (0.547, 0.961, 0.855)
O (0.655, 0.312, 0.064)
O (0.583, 0.046, 0.286)
O (0.607, 0.197, 0.191)
O (0.047, 0.539, 0.145)
O (0.893, 0.803, 0.691)
O (0.282, 0.457, 0.519)
O (0.402, 0.501, 0.902)
O (0.155, 0.188, 0.936)
O (0.107, 0.197, 0.309)
O (0.098, 0.001, 0.902)
O (0.393, 0.803, 0.809)
O (0.917, 0.954, 0.786)
O (0.953, 0.461, 0.855)
O (0.453, 0.039, 0.145)
O (0.218, 0.957, 0.519)

- SG: Pbca
- Calculated volume: 13.55 Å³ per atom
- ρ: 2.8 Mg/m³

--- three ---
The following is a DFT calculation (PBE-GGA) of a relaxed CsB5O8 crystal.

a b c (Å): 8.133 8.449 9.708
angles (deg): 90.00 90.00 90.00
Fractional coordinates of all 56 atoms:
Cs (0.539, 0.210, 0.250)
Cs (0.039, 0.290, 0.250)
Cs (0.461, 0.790, 0.750)
Cs (0.961, 0.710, 0.750)
B (0.087, 0.118, 0.750)
B (0.587, 0.382, 0.750)
B (0.913, 0.882, 0.250)
B (0.413, 0.618, 0.250)
B (0.273, 0.348, 0.637)
B (0.773, 0.152, 0.863)
B (0.727, 0.652, 0.137)
B (0.227, 0.848, 0.363)
B (0.727, 0.652, 0.363)
B (0.227, 0.848, 0.137)
B (0.273, 0.348, 0.863)
B (0.773, 0.152, 0.637)
B (0.245, 0.085, 0.529)
B (0.745, 0.415, 0.971)
B (0.755, 0.915, 0.029)
B (0.255, 0.585, 0.471)
B (0.755, 0.915, 0.471)
B (0.255, 0.585, 0.029)
B (0.245, 0.085, 0.971)
B (0.745, 0.415, 0.529)
O (0.347, 0.787, 0.250)
O (0.847, 0.713, 0.250)
O (0.653, 0.213, 0.750)
O (0.153, 0.287, 0.750)
O (0.315, 0.233, 0.536)
O (0.815, 0.267, 0.964)
O (0.685, 0.767, 0.036)
O (0.185, 0.733, 0.464)
O (0.685, 0.767, 0.464)
O (0.185, 0.733, 0.036)
O (0.315, 0.233, 0.964)
O (0.815, 0.267, 0.536)
O (0.138, 0.032, 0.628)
O (0.638, 0.468, 0.872)
O (0.862, 0.968, 0.128)
O (0.362, 0.532, 0.372)
O (0.862, 0.968, 0.372)
O (0.362, 0.532, 0.128)
O (0.138, 0.032, 0.872)
O (0.638, 0.468, 0.628)
O (0.097, 0.877, 0.250)
O (0.597, 0.623, 0.250)
O (0.903, 0.123, 0.750)
O (0.403, 0.377, 0.750)
O (0.287, 0.996, 0.416)
O (0.787, 0.504, 0.084)
O (0.713, 0.004, 0.916)
O (0.213, 0.496, 0.584)
O (0.713, 0.004, 0.584)
O (0.213, 0.496, 0.916)
O (0.287, 0.996, 0.084)
O (0.787, 0.504, 0.416)

- SG: Pnma
- Calculated volume: 11.91 Å³ per atom
- ρ: 3.1 Mg/m³

Most favorable structure: two. The second most favorable one is 0.5 kJ/mol of atoms above it.